! Pr5Si3O13, relaxed, DFT PBE-GGA; values from VASP
&SYSTEM
  ibrav = 0, nat = 42, ntyp = 3
/
ATOMIC_SPECIES
Pr 140.91 Pr.upf
Si 28.09 Si.upf
O 16.00 O.upf
ATOMIC_POSITIONS crystal
Pr 0.010 0.242 0.250
Pr 0.232 0.990 0.250
Pr 0.242 0.232 0.750
Pr 0.333 0.667 0.001
Pr 0.333 0.667 0.499
Pr 0.667 0.333 0.501
Pr 0.667 0.333 0.999
Pr 0.758 0.768 0.250
Pr 0.768 0.010 0.750
Pr 0.990 0.758 0.750
Si 0.028 0.399 0.750
Si 0.370 0.972 0.750
Si 0.399 0.370 0.250
Si 0.601 0.630 0.750
Si 0.630 0.028 0.250
Si 0.972 0.601 0.250
O 0.000 0.000 0.250
O 0.000 0.000 0.750
O 0.091 0.343 0.567
O 0.091 0.343 0.933
O 0.122 0.594 0.750
O 0.165 0.683 0.250
O 0.251 0.909 0.567
O 0.251 0.909 0.933
O 0.317 0.482 0.250
O 0.343 0.251 0.067
O 0.343 0.251 0.433
O 0.406 0.528 0.750
O 0.472 0.878 0.750
O 0.482 0.165 0.750
O 0.518 0.835 0.250
O 0.528 0.122 0.250
O 0.594 0.472 0.250
O 0.657 0.749 0.567
O 0.657 0.749 0.933
O 0.683 0.518 0.750
O 0.749 0.091 0.067
O 0.749 0.091 0.433
O 0.835 0.317 0.750
O 0.878 0.406 0.250
O 0.909 0.657 0.067
O 0.909 0.657 0.433
CELL_PARAMETERS angstrom
9.757 0.000 0.000
-4.878 8.450 0.000
0.000 0.000 7.160
! energy of formation from the pure elements: -3.584 eV/atom
! corrected total energy (MP2020 scheme): -8.561 eV per atom
! ρ: 5.6 g cm⁻³
! size of the total moment: 0.0 μB per cell